1.
A relaxed LaMg3 crystal. Source: the Materials Project database, functional meta-GGA r2SCAN.

Properties
The final energy comes out at -10.649 eV/atom. Its magnetization is 0.06 μB per cell.

Cell: 6.9667 6.9667 5.2199 Å, 90.00 90.00 120.00°
Element x y z (fractional)
1 La 0.3333 0.6667 0.2500
2 La 0.6667 0.3333 0.7500
3 Mg 0.1582 0.3164 0.7500
4 Mg 0.1582 0.8418 0.7500
5 Mg 0.3164 0.1582 0.2500
6 Mg 0.6836 0.8418 0.7500
7 Mg 0.8418 0.1582 0.2500
8 Mg 0.8418 0.6836 0.2500

2.
A relaxed KAgO crystal. Source: the Materials Project database, functional meta-GGA r2SCAN.

Properties
The final energy comes out at -12.018 eV/atom. Its magnetization is 0.00 μB per cell.

Cell: 7.4758 7.4758 7.4758 Å, 97.63 97.63 137.26°
Element x y z (fractional)
1 K 0.0000 0.3212 0.3212
2 K 0.0000 0.6788 0.6788
3 K 0.3212 0.0000 0.3212
4 K 0.6788 0.0000 0.6788
5 Ag 0.3514 0.3514 0.7028
6 Ag 0.3514 0.6486 0.0000
7 Ag 0.6486 0.3514 0.0000
8 Ag 0.6486 0.6486 0.2972
9 O 0.2053 0.5000 0.7053
10 O 0.5000 0.2053 0.7053
11 O 0.5000 0.7947 0.2947
12 O 0.7947 0.5000 0.2947

3.
A relaxed MnPd3 crystal. Source: the Materials Project database, functional meta-GGA r2SCAN.

Properties
The final energy comes out at -21.284 eV/atom. Its magnetization is 10.17 μB per cell.

Cell: 8.2616 8.2616 8.2616 Å, 152.54 152.54 39.22°
Element x y z (fractional)
1 Mn 0.1237 0.1237 0.0000
2 Mn 0.8763 0.8763 0.0000
3 Pd 0.0000 0.5000 0.5000
4 Pd 0.2500 0.7500 0.5000
5 Pd 0.3746 0.3746 0.0000
6 Pd 0.5000 0.0000 0.5000
7 Pd 0.6254 0.6254 0.0000
8 Pd 0.7500 0.2500 0.5000

4.
A relaxed Sm5In4Pt2 crystal. Source: the Materials Project database, functional meta-GGA r2SCAN.

Properties
The final energy comes out at -32.017 eV/atom. Its magnetization is 0.78 μB per cell.

Cell: 8.1852 18.4774 3.7241 Å, 90.00 90.00 90.00°
Element x y z (fractional)
1 Sm 0.0000 0.0000 0.0000
2 Sm 0.1163 0.4158 0.0000
3 Sm 0.2422 0.2211 0.0000
4 Sm 0.2578 0.7211 0.0000
5 Sm 0.3837 0.9158 0.0000
6 Sm 0.5000 0.5000 0.0000
7 Sm 0.6163 0.0842 0.0000
8 Sm 0.7422 0.2789 0.0000
9 Sm 0.7578 0.7789 0.0000
10 Sm 0.8837 0.5842 0.0000
11 In 0.0727 0.8508 0.5000
12 In 0.2106 0.5696 0.5000
13 In 0.2894 0.0696 0.5000
14 In 0.4273 0.3508 0.5000
15 In 0.5727 0.6492 0.5000
16 In 0.7106 0.9304 0.5000
17 In 0.7894 0.4304 0.5000
18 In 0.9273 0.1492 0.5000
19 Pt 0.0229 0.3039 0.5000
20 Pt 0.4771 0.8039 0.5000
21 Pt 0.5229 0.1961 0.5000
22 Pt 0.9771 0.6961 0.5000

5.
A relaxed Cs7Ni4F15 crystal. Source: the Materials Project database, functional meta-GGA r2SCAN.

Properties
The final energy comes out at -13.061 eV/atom. Its magnetization is 16.00 μB per cell.

Cell: 7.8552 10.8493 11.4330 Å, 90.00 92.81 90.00°
Element x y z (fractional)
1 Cs 0.0000 0.0000 0.0000
2 Cs 0.0000 0.5000 0.5000
3 Cs 0.1627 0.1543 0.3038
4 Cs 0.1627 0.3457 0.8038
5 Cs 0.3308 0.0048 0.6677
6 Cs 0.3308 0.4952 0.1677
7 Cs 0.4965 0.1804 0.0278
8 Cs 0.4965 0.3196 0.5278
9 Cs 0.5035 0.6804 0.4722
10 Cs 0.5035 0.8196 0.9722
11 Cs 0.6692 0.5048 0.8323
12 Cs 0.6692 0.9952 0.3323
13 Cs 0.8373 0.6543 0.1962
14 Cs 0.8373 0.8457 0.6962
15 Ni 0.0771 0.6623 0.9288
16 Ni 0.0771 0.8377 0.4288
17 Ni 0.2578 0.6731 0.7296
18 Ni 0.2578 0.8269 0.2296
19 Ni 0.7422 0.1731 0.7704
20 Ni 0.7422 0.3269 0.2704
21 Ni 0.9229 0.1623 0.5712
22 Ni 0.9229 0.3377 0.0712
23 F 0.0000 0.0000 0.5000
24 F 0.0000 0.5000 0.0000
25 F 0.0214 0.6023 0.7608
26 F 0.0214 0.8977 0.2608
27 F 0.1473 0.2359 0.5554
28 F 0.1473 0.2641 0.0554
29 F 0.1682 0.7353 0.0829
30 F 0.1682 0.7647 0.5829
31 F 0.1702 0.6906 0.3367
32 F 0.1702 0.8094 0.8367
33 F 0.3103 0.5928 0.8934
34 F 0.3103 0.9072 0.3934
35 F 0.3312 0.5273 0.6438
36 F 0.3312 0.9727 0.1438
37 F 0.4850 0.7482 0.7222
38 F 0.4850 0.7518 0.2222
39 F 0.5150 0.2482 0.7778
40 F 0.5150 0.2518 0.2778
41 F 0.6688 0.0273 0.8562
42 F 0.6688 0.4727 0.3562
43 F 0.6897 0.0928 0.6066
44 F 0.6897 0.4072 0.1066
45 F 0.8298 0.1906 0.1633
46 F 0.8298 0.3094 0.6633
47 F 0.8318 0.2353 0.4171
48 F 0.8318 0.2647 0.9171
49 F 0.8527 0.7359 0.9446
50 F 0.8527 0.7641 0.4446
51 F 0.9786 0.1023 0.7392
52 F 0.9786 0.3977 0.2392

6.
A relaxed TbS2 crystal. Source: the Materials Project database, functional meta-GGA r2SCAN.

Properties
The final energy comes out at -17.762 eV/atom. Its magnetization is 0.00 μB per cell.

Cell: 7.9077 3.9173 7.8708 Å, 90.00 90.24 90.00°
Element x y z (fractional)
1 Tb 0.2247 0.2109 0.3710
2 Tb 0.2247 0.2891 0.8710
3 Tb 0.7753 0.7109 0.1290
4 Tb 0.7753 0.7891 0.6290
5 S 0.1316 0.7382 0.1257
6 S 0.1316 0.7618 0.6257
7 S 0.4964 0.6589 0.3900
8 S 0.4964 0.8411 0.8900
9 S 0.5036 0.1589 0.1100
10 S 0.5036 0.3411 0.6100
11 S 0.8684 0.2382 0.3743
12 S 0.8684 0.2618 0.8743

7.
A relaxed Cu2HgI4 crystal. Source: the Materials Project database, functional meta-GGA r2SCAN.

Properties
The final energy comes out at -24.455 eV/atom. Its magnetization is 0.00 μB per cell.

Cell: 6.0909 6.0909 7.6167 Å, 113.48 113.48 89.93°
Element x y z (fractional)
1 Cu 0.2501 0.7499 0.0000
2 Cu 0.7499 0.2501 0.0000
3 Hg 0.4933 0.4933 0.5002
4 I 0.0935 0.0935 0.2328
5 I 0.3641 0.9004 0.7666
6 I 0.6298 0.6298 0.2338
7 I 0.9004 0.3641 0.7666

8.
A relaxed YH2 crystal. Source: the Materials Project database, functional meta-GGA r2SCAN.

Properties
The final energy comes out at -9.874 eV/atom. Its magnetization is 0.00 μB per cell.

Cell: 3.6751 3.6751 3.6751 Å, 60.00 60.00 60.00°
Element x y z (fractional)
1 Y 0.0000 0.0000 0.0000
2 H 0.2500 0.2500 0.2500
3 H 0.7500 0.7500 0.7500

9.
A relaxed HoInAg2 crystal. Source: the Materials Project database, functional meta-GGA r2SCAN.

Properties
The final energy comes out at -24.953 eV/atom. Its magnetization is 0.00 μB per cell.

Cell: 4.8923 4.8923 4.8923 Å, 60.00 60.00 60.00°
Element x y z (fractional)
1 Ho 0.0000 0.0000 0.0000
2 In 0.5000 0.5000 0.5000
3 Ag 0.2500 0.2500 0.2500
4 Ag 0.7500 0.7500 0.7500

10.
A relaxed Tb3AlN crystal. Source: the Materials Project database, functional meta-GGA r2SCAN.

Properties
The final energy comes out at -22.982 eV/atom. Its magnetization is 0.00 μB per cell.

Cell: 4.7829 4.7829 4.7829 Å, 90.00 90.00 90.00°
Element x y z (fractional)
1 Tb 0.0000 0.0000 0.5000
2 Tb 0.0000 0.5000 0.0000
3 Tb 0.5000 0.0000 0.0000
4 Al 0.5000 0.5000 0.5000
5 N 0.0000 0.0000 0.0000

11.
A relaxed CeMn2Ge2 crystal. Source: the Materials Project database, functional meta-GGA r2SCAN.

Properties
The final energy comes out at -18.206 eV/atom. Its magnetization is 6.51 μB per cell.

Cell: 6.2029 6.2029 6.2029 Å, 140.47 140.47 57.14°
Element x y z (fractional)
1 Ce 0.0000 0.0000 0.0000
2 Mn 0.2500 0.7500 0.5000
3 Mn 0.7500 0.2500 0.5000
4 Ge 0.3833 0.3833 0.0000
5 Ge 0.6167 0.6167 0.0000

12.
A relaxed NaYF4 crystal. Source: the Materials Project database, functional meta-GGA r2SCAN.

Properties
The final energy comes out at -10.053 eV/atom. Its magnetization is 0.00 μB per cell.

Cell: 5.9646 5.9646 6.9758 Å, 90.00 90.00 120.00°
Element x y z (fractional)
1 Na 0.0000 0.0000 0.0000
2 Na 0.6667 0.3333 0.2150
3 Na 0.6667 0.3333 0.7850
4 Y 0.0000 0.0000 0.5000
5 Y 0.3333 0.6667 0.2461
6 Y 0.3333 0.6667 0.7539
7 F 0.0479 0.4391 0.0000
8 F 0.0572 0.4221 0.5000
9 F 0.2680 0.2580 0.2627
10 F 0.2680 0.2580 0.7373
11 F 0.3649 0.9428 0.5000
12 F 0.3913 0.9521 0.0000
13 F 0.5609 0.6087 0.0000
14 F 0.5779 0.6351 0.5000
15 F 0.7420 0.0099 0.2627
16 F 0.7420 0.0099 0.7373
17 F 0.9901 0.7320 0.2627
18 F 0.9901 0.7320 0.7373